Material: Mg14BiB
Method: DFT, PBE-GGA
State: optimized geometry

As for the total energy: -1.89 eV/atom.

It has space group Amm2 (No. 38), with a = 9.9831 Å, b = 6.5575 Å, c = 10.9653 Å, α = 90.00°, β = 90.00° and γ = 90.00°. The inequivalent atoms are Mg at (0.0000, 0.0000, 0.0000), Mg at (0.0000, 0.0000, 0.4986), Mg at (0.0000, 0.2439, 0.2532), Mg at (0.2428, 0.0000, 0.6722), Mg at (0.2611, 0.0000, 0.1637), Mg at (0.2659, 0.2314, 0.9233), Mg at (0.5000, 0.2452, 0.2345), Bi at (0.5000, 0.0000, 0.5007) and B at (0.5000, 0.0000, 0.0523).